The following is a DFT calculation (PBE) of crystalline Hf5Sc5Ge6 at its relaxed geometry.

Computed properties:
ΔE_f = -0.74 eV per atom
Total energy = -7.5671 eV per atom

Lattice parameters (Å, degrees): 7.9610 7.9610 5.6560 90.00 90.00 119.86
Last column: nearest neighbours and their distance in Å.
Element x y z (fractional)
Hf (0.2438, 0.9987, 0.5000)  3 Ge 2.72-2.90
Hf (0.9987, 0.2438, 0.5000)  3 Ge 2.72-2.90
Hf (0.7566, 0.7566, 0.5000)  3 Ge 2.72-2.92
Hf (0.7536, 0.9988, 0.0000)  3 Ge 2.72-2.89
Hf (0.9988, 0.7536, 0.0000)  3 Ge 2.72-2.89
Sc (0.2453, 0.2453, 0.0000)  3 Ge 2.72-2.90
Sc (0.6677, 0.3340, 0.2506)  2 Sc 2.82-2.83, 6 Ge 2.83-2.84
Sc (0.3340, 0.6677, 0.2506)  2 Sc 2.82-2.83, 6 Ge 2.83-2.84
Sc (0.3340, 0.6677, 0.7494)  2 Sc 2.82-2.83, 6 Ge 2.83-2.84
Sc (0.6677, 0.3340, 0.7494)  2 Sc 2.82-2.83, 6 Ge 2.83-2.84
Ge (0.6087, 0.0002, 0.5000)  3 Hf 2.72-2.90, 4 Sc 2.83
Ge (0.0002, 0.6087, 0.5000)  3 Hf 2.72-2.90, 4 Sc 2.83
Ge (0.3905, 0.3905, 0.5000)  3 Hf 2.73-2.92, 6 Sc 2.84-3.06
Ge (0.3913, 0.0007, 0.0000)  5 Sc 2.72-2.84, 2 Hf 2.74-2.89
Ge (0.0007, 0.3913, 0.0000)  5 Sc 2.72-2.84, 2 Hf 2.74-2.89
Ge (0.6087, 0.6087, 0.0000)  2 Hf 2.72, 5 Sc 2.83-2.90